Entry 1:
# Lu3Al5O12 | the Materials Project | PBE | optimized geometry
data_Lu3Al5O12
_space_group_name_H-M_alt 'I a -3 d'
_space_group_IT_number 230
_space_group_name_Hall '-I 4bd 2c 3'
_cell_length_a 11.965
_cell_length_b 11.965
_cell_length_c 11.965
_cell_angle_alpha 90.00
_cell_angle_beta 90.00
_cell_angle_gamma 90.00
loop_
_atom_site_label
_atom_site_fract_x
_atom_site_fract_y
_atom_site_fract_z
Lu1 0.000 0.250 0.125
Al1 0.000 0.000 0.000
Al2 0.000 0.250 0.375
O1 0.029 0.053 0.650
# Energy with MP2020 corrections (eV per atom): -8.3088
# ΔE_f (kcal/mol of atoms): -85.9
# Mass density (Mg/m³): 6.6


Entry 2:
# Lu4Al2O9 | the Materials Project | PBE | optimized geometry
data_Lu4Al2O9
_space_group_name_H-M_alt 'P 1 21/c 1'
_space_group_IT_number 14
_cell_length_a 7.219
_cell_length_b 10.336
_cell_length_c 11.059
_cell_angle_alpha 90.00
_cell_angle_beta 108.11
_cell_angle_gamma 90.00
loop_
_space_group_symop_operation_xyz
'x,y,z'
'-x,-y,-z'
'-x,y+1/2,-z+1/2'
'x,-y+1/2,z+1/2'
loop_
_atom_site_label
_atom_site_fract_x
_atom_site_fract_y
_atom_site_fract_z
Lu1 0.022 0.099 0.304
Lu2 0.162 0.621 0.584
Lu3 0.340 0.126 0.938
Lu4 0.477 0.612 0.218
Al1 0.213 0.178 0.627
Al2 0.344 0.674 0.889
O1 0.068 0.234 0.478
O2 0.078 0.507 0.393
O3 0.208 0.740 0.252
O4 0.212 0.012 0.654
O5 0.233 0.241 0.272
O6 0.304 0.512 0.841
O7 0.361 0.730 0.042
O8 0.432 0.243 0.613
O9 0.436 0.508 0.608
# Energy with MP2020 corrections (eV per atom): -8.5527
# Energy above the most stable polymorph in this dataset (kJ/mol of formula units): 0
# ΔE_f (kcal/mol of atoms): -89.4
# Mass density (Mg/m³): 7.6


Entry 3:
# Lu3AlO6 | the Materials Project | PBE | optimized geometry
data_Lu3AlO6
_space_group_name_H-M_alt 'C m c 21'
_space_group_IT_number 36
_cell_length_a 8.661
_cell_length_b 10.867
_cell_length_c 5.275
_cell_angle_alpha 90.00
_cell_angle_beta 90.00
_cell_angle_gamma 90.00
loop_
_space_group_symop_operation_xyz
'x,y,z'
'-x,-y,z+1/2'
'-x,y,z'
'x,-y,z+1/2'
'x+1/2,y+1/2,z'
'-x+1/2,-y+1/2,z+1/2'
'-x+1/2,y+1/2,z'
'x+1/2,-y+1/2,z+1/2'
loop_
_atom_site_label
_atom_site_fract_x
_atom_site_fract_y
_atom_site_fract_z
Lu1 0.000 0.101 0.000
Lu2 0.193 0.394 0.952
Al1 0.000 0.305 0.415
O1 0.000 0.286 0.750
O2 0.000 0.456 0.279
O3 0.156 0.236 0.246
O4 0.161 0.017 0.726
# Largest piezoelectric modulus (C/m2): 0.7
# Energy with MP2020 corrections (eV per atom): -8.6320
# Energy above the most stable polymorph in this dataset (kJ/mol of formula units): 5
# ΔE_f (kcal/mol of atoms): -90.7
# Mass density (Mg/m³): 8.7


Entry 4:
# LuAl3Pb2O8 | the Materials Project | PBE | optimized geometry
data_LuAl3Pb2O8
_space_group_name_H-M_alt 'P n -3 m'
_space_group_IT_number 224
_cell_length_a 9.484
_cell_length_b 9.484
_cell_length_c 9.484
_cell_angle_alpha 90.00
_cell_angle_beta 90.00
_cell_angle_gamma 90.00
loop_
_space_group_symop_operation_xyz
'x,y,z'
'-x,-y,-z'
'-y,x+1/2,z+1/2'
'y,-x+1/2,-z+1/2'
'-x+1/2,-y+1/2,z'
'x+1/2,y+1/2,-z'
'y+1/2,-x,z+1/2'
'-y+1/2,x,-z+1/2'
'x,-y+1/2,-z+1/2'
'-x,y+1/2,z+1/2'
'-y,-x,-z'
'y,x,z'
'-x+1/2,y,-z+1/2'
'x+1/2,-y,z+1/2'
'y+1/2,x+1/2,-z'
'-y+1/2,-x+1/2,z'
'z,x,y'
'-z,-x,-y'
'z+1/2,-y,x+1/2'
'-z+1/2,y,-x+1/2'
'z,-x+1/2,-y+1/2'
'-z,x+1/2,y+1/2'
'z+1/2,y+1/2,-x'
'-z+1/2,-y+1/2,x'
'-z+1/2,x,-y+1/2'
'z+1/2,-x,y+1/2'
'-z,-y,-x'
'z,y,x'
'-z+1/2,-x+1/2,y'
'z+1/2,x+1/2,-y'
'-z,y+1/2,x+1/2'
'z,-y+1/2,-x+1/2'
'y,z,x'
'-y,-z,-x'
'x+1/2,z+1/2,-y'
'-x+1/2,-z+1/2,y'
'-y+1/2,z,-x+1/2'
'y+1/2,-z,x+1/2'
'-x,z+1/2,y+1/2'
'x,-z+1/2,-y+1/2'
'-y+1/2,-z+1/2,x'
'y+1/2,z+1/2,-x'
'-x,-z,-y'
'x,z,y'
'y,-z+1/2,-x+1/2'
'-y,z+1/2,x+1/2'
'x+1/2,-z,y+1/2'
'-x+1/2,z,-y+1/2'
loop_
_atom_site_label
_atom_site_fract_x
_atom_site_fract_y
_atom_site_fract_z
Lu1 0.000 0.000 0.000
Al1 0.000 0.250 0.750
Pb1 0.116 0.116 0.384
O1 0.090 0.090 0.766
O2 0.135 0.135 0.135
# Energy with MP2020 corrections (eV per atom): -7.4642
# ΔE_f (kcal/mol of atoms): -68.7
# Mass density (Mg/m³): 6.2


Entry 5:
# Y9Lu3Al20O48 | the Materials Project | PBE | optimized geometry
data_Y9Lu3Al20O48
_space_group_name_H-M_alt 'C 1 2 1'
_space_group_IT_number 5
_cell_length_a 17.098
_cell_length_b 12.091
_cell_length_c 12.081
_cell_angle_alpha 90.00
_cell_angle_beta 134.95
_cell_angle_gamma 90.00
loop_
_space_group_symop_operation_xyz
'x,y,z'
'-x,y,-z'
'x+1/2,y+1/2,z'
'-x+1/2,y+1/2,-z'
loop_
_atom_site_label
_atom_site_fract_x
_atom_site_fract_y
_atom_site_fract_z
Y1 0.000 0.000 0.000
Y2 0.000 0.250 0.500
Y3 0.000 0.500 0.000
Y4 0.125 0.125 0.875
Y5 0.125 0.625 0.376
Y6 0.250 0.375 0.875
Lu1 0.000 0.750 0.500
Lu2 0.250 0.375 0.375
Al1 0.000 0.250 0.000
Al2 0.000 0.501 0.500
Al3 0.000 0.750 0.000
Al4 0.000 0.999 0.500
Al5 0.001 0.375 0.250
Al6 0.001 0.875 0.252
Al7 0.125 0.125 0.375
Al8 0.125 0.625 0.874
Al9 0.250 0.124 0.750
Al10 0.250 0.126 0.251
Al11 0.250 0.375 0.127
Al12 0.250 0.375 0.624
O1 0.031 0.024 0.230
O2 0.031 0.226 0.332
O3 0.031 0.524 0.832
O4 0.031 0.726 0.728
O5 0.051 0.406 0.652
O6 0.051 0.844 0.949
O7 0.052 0.903 0.452
O8 0.053 0.344 0.154
O9 0.100 0.597 0.550
O10 0.101 0.094 0.652
O11 0.101 0.156 0.050
O12 0.101 0.656 0.152
O13 0.149 0.324 0.930
O14 0.149 0.926 0.868
O15 0.150 0.425 0.428
O16 0.150 0.825 0.372
O17 0.198 0.775 0.726
O18 0.199 0.274 0.668
O19 0.200 0.475 0.172
O20 0.200 0.976 0.231
O21 0.219 0.072 0.570
O22 0.219 0.178 0.368
O23 0.219 0.574 0.868
O24 0.219 0.675 0.070
# Energy with MP2020 corrections (eV per atom): -8.4938
# ΔE_f (kcal/mol of atoms): -85.1
# Mass density (Mg/m³): 4.9


Entry 6:
# LuAlPd | the Materials Project | PBE | optimized geometry
data_LuAlPd
_space_group_name_H-M_alt 'P -6 2 m'
_space_group_IT_number 189
_space_group_name_Hall 'P -6 -2'
_cell_length_a 7.0401
_cell_length_b 7.0401
_cell_length_c 4.0226
_cell_angle_alpha 90.00
_cell_angle_beta 90.00
_cell_angle_gamma 120.00
loop_
_atom_site_label
_atom_site_fract_x
_atom_site_fract_y
_atom_site_fract_z
Lu1 0.0000 0.5867 0.0000
Al1 0.0000 0.2407 0.5000
Pd1 0.0000 0.0000 0.0000
Pd2 0.3333 0.6667 0.5000
# ΔE_f (kcal/mol of atoms): -20.8
# Mass density (Mg/m³): 8.9


Entry 7:
# LuAl2Pd5 | the Materials Project | PBE | optimized geometry
data_LuAl2Pd5
_space_group_name_H-M_alt 'I 4/m m m'
_space_group_IT_number 139
_space_group_name_Hall '-I 4 2'
_cell_length_a 4.114
_cell_length_b 4.114
_cell_length_c 14.939
_cell_angle_alpha 90.00
_cell_angle_beta 90.00
_cell_angle_gamma 90.00
loop_
_atom_site_label
_atom_site_fract_x
_atom_site_fract_y
_atom_site_fract_z
Lu1 0.000 0.000 0.000
Al1 0.000 0.000 0.253
Pd1 0.000 0.000 0.500
Pd2 0.000 0.500 0.143
# ΔE_f (kcal/mol of atoms): -22.5
# Mass density (Mg/m³): 10.0


Entry 8:
# PmLuAl2 | the Materials Project | PBE | optimized geometry
data_PmLuAl2
_space_group_name_H-M_alt 'F m -3 m'
_space_group_IT_number 225
_space_group_name_Hall '-F 4 2 3'
_cell_length_a 7.205
_cell_length_b 7.205
_cell_length_c 7.205
_cell_angle_alpha 90.00
_cell_angle_beta 90.00
_cell_angle_gamma 90.00
loop_
_atom_site_label
_atom_site_fract_x
_atom_site_fract_y
_atom_site_fract_z
Pm1 0.000 0.000 0.000
Lu1 0.000 0.000 0.500
Al1 0.250 0.250 0.250
# ΔE_f (kcal/mol of atoms): -8.4
# Mass density (Mg/m³): 6.6